This record from the Materials Project describes an optimized crystal structure of Ti2VSe4. The functional is PBE-GGA.

For the density, the calculation gives 5683 kg/m3. Its energy above the lowest structure with this stoichiometry is 25 meV per atom.

The structure belongs to space group Cm (No. 8); the cell edges are 13.5335, 3.5082 and 6.3982 Å and the angles 90.00°, 117.15° and 90.00°. The distinct sites, in fractional coordinates, are Ti at (0.0000, 0.0000, 0.0000), Ti at (0.2474, 0.5000, 0.7002), V at (0.2528, 0.0000, 0.3012), Se at (0.1101, 0.0000, 0.4471), Se at (0.1378, 0.5000, 0.9755), Se at (0.3639, 0.0000, 0.0337) and Se at (0.3888, 0.5000, 0.5480).

---

This record from the Materials Project describes an optimized crystal structure of MgAg5. The functional is PBE-GGA.

The calculated total energy comes out at -2.733 eV/atom. For the density, the calculation gives 8596 kg/m3.

The structure belongs to space group P-62m (No. 189); the cell edges are 5.0919, 5.0919 and 4.8491 Å and the angles 90.00°, 90.00° and 120.00°. The distinct sites, in fractional coordinates, are Mg at (0.0000, 0.0000, 0.0000), Ag at (0.0000, 0.3331, 0.5000) and Ag at (0.3333, 0.6667, 0.0000).

---

This record from the Materials Project describes an optimized crystal structure of ThB4O8. The functional is PBE-GGA.

The calculated total energy comes out at -8.409 eV/atom. For the density, the calculation gives 5827 kg/m3.

The structure belongs to space group C2/c (No. 15); the cell edges are 16.2708, 4.2322 and 7.3517 Å and the angles 90.00°, 114.76° and 90.00°. The distinct sites, in fractional coordinates, are Th at (0.0000, 0.1880, 0.2500), B at (0.1412, 0.3115, 0.9910), B at (0.1961, 0.1967, 0.7039), O at (0.0520, 0.2383, 0.9858), O at (0.1329, 0.1968, 0.7966), O at (0.1571, 0.3492, 0.5093) and O at (0.2161, 0.1452, 0.1672).

---

For reference, V by record: 270.3; 108.9; 459.7 Å³ per cell.